Entry 1:
Crystalline Sr3B2S6 at its relaxed geometry. Source: the Materials Project database, functional GGA-PBE.

Cell: 6.1384 6.1384 15.6016 Å, 100.16 100.16 65.80°
With the nearest neighbours (Å) after each atom.
Fractional coordinates of all 22 atoms:
Sr 0.0203 0.9797 0.7500  8 S 3.11-3.22, 2 B 3.44
Sr 0.3226 0.3522 0.4131  8 S 3.04-3.21, 1 B 3.40
Sr 0.3522 0.3226 0.9131  8 S 3.04-3.21, 1 B 3.40
Sr 0.6478 0.6774 0.0869  8 S 3.04-3.21, 1 B 3.40
Sr 0.6774 0.6478 0.5869  8 S 3.04-3.21, 1 B 3.40
Sr 0.9797 0.0203 0.2500  8 S 3.11-3.22, 2 B 3.44
B 0.2570 0.4657 0.1353  3 S 1.82-1.84
B 0.4657 0.2570 0.6353  3 S 1.82-1.84
B 0.5343 0.7430 0.3647  3 S 1.82-1.84
B 0.7430 0.5343 0.8647  3 S 1.82-1.84
S 0.0832 0.4735 0.2197  1 B 1.82
S 0.1275 0.7227 0.0708  1 B 1.84
S 0.2324 0.5460 0.6076  1 B 1.83
S 0.2773 0.8725 0.4292  1 B 1.84
S 0.4540 0.7676 0.8924  1 B 1.83
S 0.4735 0.0832 0.7197  1 B 1.82
S 0.5265 0.9168 0.2803  1 B 1.82
S 0.5460 0.2324 0.1076  1 B 1.83
S 0.7227 0.1275 0.5708  1 B 1.84
S 0.7676 0.4540 0.3924  1 B 1.83
S 0.8725 0.2773 0.9292  1 B 1.84
S 0.9168 0.5265 0.7803  1 B 1.82

## Properties
ΔE_f, eV per atom: -1.669
E (MP2020), eV per cell: -123.22
Energy, eV/atom: -5.326

***

Entry 2:
Crystalline Tl9SbSe6 at its relaxed geometry. Source: the Materials Project database, functional GGA-PBE.

Cell: 9.0310 9.0310 9.0310 Å, 123.65 123.65 83.78°
With the nearest neighbours (Å) after each atom.
Fractional coordinates of all 16 atoms:
Tl 0.0000 0.0000 0.0000  6 Se 3.40-3.78
Tl 0.0050 0.4903 0.8002  3 Se 3.04-3.29
Tl 0.2048 0.0050 0.5147  3 Se 3.04-3.29
Tl 0.3099 0.7952 0.8002  3 Se 3.04-3.29
Tl 0.4903 0.6901 0.4853  3 Se 3.04-3.29
Tl 0.5097 0.3099 0.5147  3 Se 3.04-3.29
Tl 0.6901 0.2048 0.1998  3 Se 3.04-3.29
Tl 0.7952 0.9950 0.4853  3 Se 3.04-3.29
Tl 0.9950 0.5097 0.1998  3 Se 3.04-3.29
Sb 0.5000 0.5000 0.0000  6 Se 2.94-2.97
Se 0.1834 0.3542 0.5376  1 Sb 2.97, 4 Tl 3.04-3.21
Se 0.2812 0.2812 0.0000  1 Sb 2.94, 4 Tl 3.29
Se 0.3542 0.8166 0.1708  1 Sb 2.97, 4 Tl 3.04-3.21
Se 0.6458 0.1834 0.8292  1 Sb 2.97, 4 Tl 3.04-3.21
Se 0.7188 0.7188 0.0000  1 Sb 2.94, 4 Tl 3.29
Se 0.8166 0.6458 0.4624  1 Sb 2.97, 4 Tl 3.04-3.21

## Properties
ΔE_f, eV per atom: -0.531
E (MP2020), eV per cell: -54.87
Excess energy over the best structure of this formula in the dataset, eV per formula unit: 0.00
Energy, eV/atom: -3.252

***

Entry 3:
Crystalline TlPF6 at its relaxed geometry. Source: the Materials Project database, functional GGA-PBE.

Cell: 8.0462 8.0462 8.0462 Å, 90.00 90.00 90.00°
With the nearest neighbours (Å) after each atom.
Fractional coordinates of all 32 atoms:
Tl 0.0000 0.0000 0.0000  12 F 3.17-3.18
Tl 0.0000 0.5000 0.5000  12 F 3.17-3.18
Tl 0.5000 0.0000 0.5000  12 F 3.17-3.18
Tl 0.5000 0.5000 0.0000  12 F 3.17-3.18
P 0.0000 0.0000 0.5000  6 F 1.64
P 0.0000 0.5000 0.0000  6 F 1.64
P 0.5000 0.0000 0.0000  6 F 1.64
P 0.5000 0.5000 0.5000  6 F 1.64
F 0.0680 0.1358 0.6362  1 P 1.64
F 0.0680 0.3642 0.1362  1 P 1.64
F 0.1362 0.0680 0.3642  1 P 1.64
F 0.1362 0.4320 0.8642  1 P 1.64
F 0.1358 0.6362 0.0680  1 P 1.64
F 0.1358 0.8638 0.5680  1 P 1.64
F 0.3642 0.1362 0.0680  1 P 1.64
F 0.3642 0.3638 0.5680  1 P 1.64
F 0.3638 0.5680 0.3642  1 P 1.64
F 0.3638 0.9320 0.8642  1 P 1.64
F 0.4320 0.6358 0.6362  1 P 1.64
F 0.4320 0.8642 0.1362  1 P 1.64
F 0.5680 0.1358 0.8638  1 P 1.64
F 0.5680 0.3642 0.3638  1 P 1.64
F 0.6362 0.0680 0.1358  1 P 1.64
F 0.6362 0.4320 0.6358  1 P 1.64
F 0.6358 0.6362 0.4320  1 P 1.64
F 0.6358 0.8638 0.9320  1 P 1.64
F 0.8642 0.1362 0.4320  1 P 1.64
F 0.8642 0.3638 0.9320  1 P 1.64
F 0.8638 0.5680 0.1358  1 P 1.64
F 0.8638 0.9320 0.6358  1 P 1.64
F 0.9320 0.6358 0.8638  1 P 1.64
F 0.9320 0.8642 0.3638  1 P 1.64

## Properties
ΔE_f, eV per atom: -2.814
E (MP2020), eV per cell: -167.09
Energy, eV/atom: -4.875

***

Entry 4:
Crystalline K3Cd at its relaxed geometry. Source: the Materials Project database, functional GGA-PBE.

Cell: 5.9529 5.9529 5.9529 Å, 90.00 90.00 90.00°
With the nearest neighbours (Å) after each atom.
Fractional coordinates of all 4 atoms:
K 0.0000 0.0000 0.5000  4 Cd 4.21, 8 K 4.21
K 0.0000 0.5000 0.0000  4 Cd 4.21, 8 K 4.21
K 0.5000 0.0000 0.0000  4 Cd 4.21, 8 K 4.21
Cd 0.5000 0.5000 0.5000  12 K 4.21

## Properties
ΔE_f, eV per atom: 0.027
Energy, eV/atom: -1.037

***

Entry 5:
Crystalline HoCoRu at its relaxed geometry. Source: the Materials Project database, functional GGA-PBE.

Cell: 5.1490 5.1602 7.3926 Å, 90.00 90.00 90.00°
With the nearest neighbours (Å) after each atom.
Fractional coordinates of all 12 atoms:
Ho 0.0000 0.2500 0.1258  6 Ru 3.03-3.05, 6 Co 3.03-3.06, 4 Ho 3.16-3.18
Ho 0.0000 0.7500 0.8742  6 Ru 3.03-3.05, 6 Co 3.03-3.06, 4 Ho 3.16-3.18
Ho 0.5000 0.2500 0.3742  6 Ru 3.03-3.05, 6 Co 3.03-3.06, 4 Ho 3.16-3.18
Ho 0.5000 0.7500 0.6258  6 Ru 3.03-3.05, 6 Co 3.03-3.06, 4 Ho 3.16-3.18
Co 0.2500 0.2500 0.7500  2 Co 2.57, 4 Ru 2.60
Co 0.2500 0.7500 0.2500  2 Co 2.57, 4 Ru 2.60
Co 0.7500 0.2500 0.7500  2 Co 2.57, 4 Ru 2.60
Co 0.7500 0.7500 0.2500  2 Co 2.57, 4 Ru 2.60
Ru 0.0000 0.0000 0.5000  2 Ru 2.58, 4 Co 2.60
Ru 0.0000 0.5000 0.5000  2 Ru 2.58, 4 Co 2.60
Ru 0.5000 0.0000 0.0000  2 Ru 2.58, 4 Co 2.60
Ru 0.5000 0.5000 0.0000  2 Ru 2.58, 4 Co 2.60

## Properties
ΔE_f, eV per atom: -0.281
Energy, eV/atom: -7.269